{"formula": "Na8Li9Fe4O16", "functional": "GGA+U", "state": "optimized geometry", "lattice": [[-6.4956, -0.8487, 1.1303], [-0.2197, -5.9172, -5.4403], [1.6205, -5.5299, 5.9120]], "species": ["Na", "Na", "Na", "Na", "Na", "Na", "Na", "Na", "O", "O", "O", "O", "O", "O", "O", "O", "O", "O", "O", "O", "O", "O", "O", "O", "Fe", "Fe", "Fe", "Fe", "Li", "Li", "Li", "Li", "Li", "Li", "Li", "Li", "Li"], "frac_coords": [[0.9903, 0.7433, 0.2506], [0.4934, 0.2455, 0.2510], [0.9728, 0.2753, 0.7481], [0.7579, 0.0031, 0.4748], [0.2380, 0.9986, 0.5091], [0.2521, 0.4964, 0.0253], [0.7449, 0.4973, 0.9884], [0.5318, 0.7368, 0.7356], [0.0059, 0.9543, 0.7357], [0.0197, 0.0582, 0.2906], [0.0267, 0.5690, 0.7898], [0.7426, 0.2921, 0.5095], [0.9758, 0.4303, 0.2174], [0.5127, 0.5532, 0.2226], [0.5090, 0.0619, 0.7200], [0.7381, 0.7101, 0.4651], [0.7572, 0.7869, 0.9557], [0.4884, 0.4447, 0.7754], [0.4759, 0.9300, 0.2893], [0.2501, 0.8062, 0.9845], [0.2542, 0.2892, 0.5447], [0.7587, 0.2088, 0.9908], [0.2520, 0.7036, 0.4935], [0.2433, 0.1928, 0.0169], [0.4856, 0.7186, 0.3753], [0.9839, 0.2156, 0.1229], [0.5068, 0.2772, 0.6257], [0.0121, 0.7764, 0.8763], [0.2599, 0.0221, 0.8493], [0.0235, 0.2864, 0.4111], [0.2498, 0.9909, 0.1556], [0.9795, 0.7068, 0.5821], [0.5200, 0.7901, 0.0839], [0.7546, 0.4861, 0.3629], [0.4954, 0.2330, 0.9177], [0.2497, 0.5111, 0.6400], [0.7447, 0.0139, 0.8606]], "magmom_total_mub_per_cell": 17.00}

=====

{"formula": "Ba2Mn2CuF14", "functional": "GGA+U", "state": "optimized geometry", "lattice": [[-3.9678, -1.7932, -6.2022], [-0.4984, -5.7041, -4.9640], [-10.5621, -6.6813, 8.4918]], "species": ["F", "F", "F", "F", "F", "F", "F", "F", "F", "F", "F", "F", "F", "F", "F", "F", "F", "F", "F", "F", "F", "F", "F", "F", "F", "F", "F", "F", "Cu", "Cu", "Mn", "Mn", "Mn", "Mn", "Ba", "Ba", "Ba", "Ba"], "frac_coords": [[0.6149, 0.5141, 0.8949], [0.0075, 0.6454, 0.7847], [0.8768, 0.2937, 0.5265], [0.6083, 0.1149, 0.4513], [0.8516, 0.6534, 0.4098], [0.7063, 0.1232, 0.9735], [0.1232, 0.7063, 0.4735], [0.8851, 0.3917, 0.0487], [0.9399, 0.0684, 0.1523], [0.6454, 0.0075, 0.2847], [0.9316, 0.0601, 0.3477], [0.3466, 0.1484, 0.0902], [0.0684, 0.9399, 0.6523], [0.3851, 0.4859, 0.1051], [0.1559, 0.5930, 0.2973], [0.0601, 0.9316, 0.8477], [0.5141, 0.6149, 0.3949], [0.4859, 0.3851, 0.6051], [0.1484, 0.3466, 0.5902], [0.6534, 0.8516, 0.9098], [0.8441, 0.4070, 0.7027], [0.2937, 0.8768, 0.0265], [0.3917, 0.8851, 0.5487], [0.9925, 0.3546, 0.2153], [0.4070, 0.8441, 0.2027], [0.1149, 0.6083, 0.9513], [0.5930, 0.1559, 0.7973], [0.3546, 0.9925, 0.7153], [0.5000, 0.5000, 0.5000], [0.5000, 0.5000, 0.0000], [0.1452, 0.1049, 0.1257], [0.8548, 0.8951, 0.8743], [0.1049, 0.1452, 0.6257], [0.8951, 0.8548, 0.3743], [0.8931, 0.7533, 0.1272], [0.2467, 0.1069, 0.3728], [0.1069, 0.2467, 0.8728], [0.7533, 0.8931, 0.6272]], "magmom_total_mub_per_cell": 14.00}

=====

{"formula": "Li9Mn2Co5O16", "functional": "GGA+U", "state": "optimized geometry", "lattice": [[-3.4880, 1.6495, 3.2156], [2.0018, -3.3567, 4.3782], [4.7439, 7.4419, 4.1914]], "species": ["Li", "Li", "Li", "Li", "Li", "Li", "Li", "Li", "Li", "O", "O", "O", "O", "O", "O", "O", "O", "O", "O", "O", "O", "O", "O", "O", "O", "Co", "Co", "Co", "Co", "Co", "Mn", "Mn"], "frac_coords": [[0.2539, 0.4970, 0.7433], [0.7572, 0.0004, 0.2592], [0.0000, 0.0000, 0.5000], [0.2476, 0.7524, 0.2519], [0.7461, 0.5030, 0.2567], [0.2445, 0.2461, 0.2535], [0.2428, 0.9996, 0.7408], [0.7555, 0.7539, 0.7465], [0.7524, 0.2476, 0.7481], [0.6345, 0.7672, 0.1148], [0.8566, 0.7378, 0.3901], [0.4000, 0.0039, 0.3928], [0.6119, 0.4902, 0.6074], [0.8459, 0.2542, 0.3878], [0.3654, 0.2328, 0.8852], [0.1423, 0.5168, 0.1188], [0.8578, 0.9833, 0.8804], [0.8577, 0.4832, 0.8812], [0.3672, 0.7337, 0.8857], [0.3881, 0.5098, 0.3926], [0.6000, 0.9961, 0.6072], [0.1422, 0.0167, 0.1196], [0.1541, 0.7458, 0.6122], [0.1434, 0.2622, 0.6099], [0.6328, 0.2663, 0.1143], [0.5000, 0.0000, 0.0000], [0.4935, 0.7545, 0.5016], [0.0000, 0.5000, 0.5000], [0.5000, 0.5000, 0.0000], [0.5065, 0.2455, 0.4984], [0.9996, 0.2499, 0.0003], [0.0004, 0.7501, 0.9997]], "de_polymorph_ev_per_atom": 0.055, "magmom_total_mub_per_cell": 12.00}

=====

{"formula": "Rb2CaNd2W4O16", "functional": "GGA+U", "state": "optimized geometry", "lattice": [[7.2035, 0.0798, 3.6529], [-1.7482, 6.9886, 3.6529], [0.1529, 0.1981, 7.6608]], "species": ["W", "W", "W", "W", "Rb", "Rb", "O", "O", "O", "O", "O", "O", "O", "O", "O", "O", "O", "O", "O", "O", "O", "O", "Nd", "Nd", "Ca"], "frac_coords": [[0.6765, 0.7064, 0.3019], [0.2895, 0.3226, 0.6946], [0.2936, 0.3235, 0.1981], [0.6774, 0.7105, 0.8054], [0.1984, 0.8016, 0.2500], [0.9266, 0.0734, 0.7500], [0.9320, 0.7162, 0.1095], [0.0283, 0.3278, 0.8764], [0.6110, 0.7439, 0.0791], [0.2561, 0.3890, 0.4209], [0.0371, 0.3085, 0.2736], [0.3782, 0.6161, 0.9526], [0.3839, 0.6218, 0.5474], [0.6051, 0.4031, 0.4622], [0.5969, 0.3949, 0.0378], [0.6915, 0.9629, 0.2264], [0.2779, 0.0673, 0.7621], [0.9327, 0.7221, 0.7379], [0.7313, 0.6511, 0.5521], [0.3489, 0.2687, 0.9479], [0.6722, 0.9717, 0.6236], [0.2838, 0.0680, 0.3905], [0.7658, 0.2342, 0.2500], [0.2200, 0.7800, 0.7500], [0.6688, 0.3312, 0.7500]], "de_polymorph_ev_per_atom": 0.018, "magmom_total_mub_per_cell": 2.00}

=====

{"formula": "V3CoP6O24", "functional": "GGA+U", "state": "optimized geometry", "lattice": [[-8.6302, 0.8931, 0.3741], [-4.4293, -1.5153, 7.3146], [-3.7295, 6.4311, 4.4889]], "species": ["O", "O", "O", "O", "O", "O", "O", "O", "O", "O", "O", "O", "O", "O", "O", "O", "O", "O", "O", "O", "O", "O", "O", "O", "P", "P", "P", "P", "P", "P", "Co", "V", "V", "V"], "frac_coords": [[0.7152, 0.9393, 0.0729], [0.9273, 0.2806, 0.0570], [0.0729, 0.7152, 0.9393], [0.7763, 0.6435, 0.0057], [0.5007, 0.8616, 0.7152], [0.3579, 0.9844, 0.2289], [0.7843, 0.4242, 0.5683], [0.2289, 0.3579, 0.9844], [0.2806, 0.0570, 0.9273], [0.9844, 0.2289, 0.3579], [0.0057, 0.7763, 0.6435], [0.7152, 0.5007, 0.8616], [0.5683, 0.7843, 0.4242], [0.2143, 0.5709, 0.4424], [0.5709, 0.4424, 0.2143], [0.6435, 0.0057, 0.7763], [0.9393, 0.0729, 0.7152], [0.4424, 0.2143, 0.5709], [0.2760, 0.5042, 0.1433], [0.4242, 0.5683, 0.7843], [0.1433, 0.2760, 0.5042], [0.5042, 0.1433, 0.2760], [0.0570, 0.9273, 0.2806], [0.8616, 0.7152, 0.5007], [0.9700, 0.2493, 0.5276], [0.7567, 0.4630, 0.0335], [0.2493, 0.5276, 0.9700], [0.5276, 0.9700, 0.2493], [0.4630, 0.0335, 0.7567], [0.0335, 0.7567, 0.4630], [0.1432, 0.1432, 0.1432], [0.3609, 0.3609, 0.3609], [0.6415, 0.6415, 0.6415], [0.8599, 0.8599, 0.8599]]}

=====

{"formula": "BaNdFe2O5", "functional": "GGA+U", "state": "optimized geometry", "lattice": [[4.0393, 0.0000, 0.0000], [0.0000, 7.8229, 0.0000], [0.0000, 0.0000, 8.0274]], "species": ["O", "O", "O", "O", "O", "O", "O", "O", "O", "O", "Nd", "Nd", "Ba", "Ba", "Fe", "Fe", "Fe", "Fe"], "frac_coords": [[0.5000, 0.3059, 0.0098], [0.0000, 0.6919, 0.2528], [0.5000, 0.3138, 0.4975], [0.5000, 0.0119, 0.2556], [0.5000, 0.9881, 0.7556], [0.0000, 0.3081, 0.7528], [0.0000, 0.3060, 0.2536], [0.5000, 0.6941, 0.5098], [0.0000, 0.6940, 0.7536], [0.5000, 0.6862, 0.9975], [0.0000, 0.5017, 0.5026], [0.0000, 0.4983, 0.0026], [0.0000, 0.9967, 0.5027], [0.0000, 0.0033, 0.0027], [0.5000, 0.7437, 0.7547], [0.5000, 0.7274, 0.2516], [0.5000, 0.2726, 0.7516], [0.5000, 0.2563, 0.2547]], "de_polymorph_ev_per_atom": 0.000, "magmom_total_mub_per_cell": 18.00}

=====

{"formula": "MgSb4W2O12", "functional": "GGA+U", "state": "optimized geometry", "lattice": [[5.1025, 0.0197, -0.3089], [0.0498, 5.6965, -0.5176], [-0.5683, 0.1927, 10.4805]], "species": ["Mg", "O", "O", "O", "O", "O", "O", "O", "O", "O", "O", "O", "O", "Sb", "Sb", "Sb", "Sb", "W", "W"], "frac_coords": [[0.3874, 0.7301, 0.2469], [0.3158, 0.5059, 0.8104], [0.9560, 0.0262, 0.1840], [0.8419, 0.3222, 0.4168], [0.7638, 0.2550, 0.9409], [0.1280, 0.9931, 0.8096], [0.2819, 0.2374, 0.0345], [0.6360, 0.8088, 0.4043], [0.6592, 0.4926, 0.1822], [0.2908, 0.7413, 0.0594], [0.2762, 0.1303, 0.5977], [0.0974, 0.6421, 0.5897], [0.7600, 0.7560, 0.9494], [0.3909, 0.8438, 0.6941], [0.6468, 0.1735, 0.2584], [0.9679, 0.6423, 0.4008], [0.0274, 0.3147, 0.6967], [0.5166, 0.4846, 0.9843], [0.0224, 0.9892, 0.9946]], "de_polymorph_ev_per_atom": 0.006, "magmom_total_mub_per_cell": 2.00}

=====

{"formula": "Li3VFe2O6", "functional": "GGA+U", "state": "optimized geometry", "lattice": [[2.5273, 4.4973, 0.0000], [5.2126, 0.0295, 0.0000], [0.0000, 0.0000, -10.2415]], "species": ["O", "O", "O", "O", "O", "O", "O", "O", "O", "O", "O", "O", "V", "V", "Fe", "Fe", "Fe", "Fe", "Li", "Li", "Li", "Li", "Li", "Li"], "frac_coords": [[0.1681, 0.3333, 0.6072], [0.6710, 0.0000, 0.1064], [0.9986, 0.3333, 0.1072], [0.6650, 0.3353, 0.8896], [0.5014, 0.6667, 0.6072], [0.8290, 0.0000, 0.6064], [0.4996, 0.3353, 0.3896], [0.3319, 0.6667, 0.1072], [0.3301, 0.0000, 0.8903], [0.0004, 0.6647, 0.8896], [0.8350, 0.6647, 0.3896], [0.1699, 0.0000, 0.3903], [0.0009, 0.0000, 0.0030], [0.4991, 0.0000, 0.5030], [0.8314, 0.3341, 0.5066], [0.1655, 0.6659, 0.5066], [0.3345, 0.3341, 0.0066], [0.6686, 0.6659, 0.0066], [0.1609, 0.3382, 0.2779], [0.0008, 0.3382, 0.7779], [0.3391, 0.6618, 0.7779], [0.6626, 0.0000, 0.7769], [0.4992, 0.6618, 0.2779], [0.8374, 0.0000, 0.2769]], "de_polymorph_ev_per_atom": 0.000, "piezo_max_c_m2": 48.64, "magmom_total_mub_per_cell": 24.00}

=====

{"formula": "Li3Fe8B8O24", "functional": "GGA+U", "state": "optimized geometry", "lattice": [[-0.7417, -1.2059, -5.1028], [-1.0297, -8.7187, 2.2100], [-9.9794, 1.5141, 1.2746]], "species": ["B", "B", "B", "B", "B", "B", "B", "B", "O", "O", "O", "O", "O", "O", "O", "O", "O", "O", "O", "O", "O", "O", "O", "O", "O", "O", "O", "O", "O", "O", "O", "O", "Fe", "Fe", "Fe", "Fe", "Fe", "Fe", "Fe", "Fe", "Li", "Li", "Li"], "frac_coords": [[0.6748, 0.3296, 0.6264], [0.6568, 0.6697, 0.1271], [0.8400, 0.1698, 0.3741], [0.8285, 0.8341, 0.8804], [0.1768, 0.1696, 0.1296], [0.3334, 0.6681, 0.3800], [0.1607, 0.8313, 0.6330], [0.3471, 0.3305, 0.8739], [0.0805, 0.1907, 0.4315], [0.7903, 0.4621, 0.6266], [0.5788, 0.6944, 0.4217], [0.8039, 0.2021, 0.6663], [0.7753, 0.5371, 0.1391], [0.9188, 0.1835, 0.0994], [0.2344, 0.5292, 0.3914], [0.2738, 0.9652, 0.6550], [0.1895, 0.7850, 0.3317], [0.9279, 0.8207, 0.5705], [0.2214, 0.2014, 0.8305], [0.6993, 0.2944, 0.3375], [0.3068, 0.2926, 0.1807], [0.2780, 0.7006, 0.6764], [0.2996, 0.0392, 0.1062], [0.4186, 0.6819, 0.0680], [0.4158, 0.3153, 0.5857], [0.5742, 0.3136, 0.9416], [0.2458, 0.4651, 0.8445], [0.0887, 0.8234, 0.9103], [0.7481, 0.0322, 0.3491], [0.7729, 0.7995, 0.1742], [0.6984, 0.7098, 0.8361], [0.7048, 0.9647, 0.8991], [0.8439, 0.8298, 0.3793], [0.1533, 0.8331, 0.1276], [0.1593, 0.1599, 0.6294], [0.3449, 0.6660, 0.8764], [0.6606, 0.6664, 0.6265], [0.6678, 0.3422, 0.1309], [0.8423, 0.1656, 0.8781], [0.3419, 0.3345, 0.3801], [0.6558, 0.0068, 0.1535], [0.3420, 0.0005, 0.8914], [0.1498, 0.4946, 0.6508]], "de_polymorph_ev_per_atom": 0.002, "magmom_total_mub_per_cell": 37.00}

=====

{"formula": "Ba5V4Cl2O14", "functional": "GGA+U", "state": "optimized geometry", "lattice": [[-9.4495, 3.8145, 0.9330], [-2.6972, -4.0517, -10.7527], [-4.7476, -13.2756, 6.1932]], "species": ["V", "V", "V", "V", "V", "V", "V", "V", "V", "V", "V", "V", "V", "V", "V", "V", "O", "O", "O", "O", "O", "O", "O", "O", "O", "O", "O", "O", "O", "O", "O", "O", "O", "O", "O", "O", "O", "O", "O", "O", "O", "O", "O", "O", "O", "O", "O", "O", "O", "O", "O", "O", "O", "O", "O", "O", "O", "O", "O", "O", "O", "O", "O", "O", "O", "O", "O", "O", "O", "O", "O", "O", "Ba", "Ba", "Ba", "Ba", "Ba", "Ba", "Ba", "Ba", "Ba", "Ba", "Ba", "Ba", "Ba", "Ba", "Ba", "Ba", "Ba", "Ba", "Ba", "Ba", "Cl", "Cl", "Cl", "Cl", "Cl", "Cl", "Cl", "Cl"], "frac_coords": [[0.5016, 0.2527, 0.6165], [0.0165, 0.5000, 0.1174], [0.4984, 0.2473, 0.1165], [0.5016, 0.7473, 0.6165], [0.9829, 0.0000, 0.1186], [0.4984, 0.7527, 0.1165], [0.4984, 0.2473, 0.8835], [0.4984, 0.7527, 0.8835], [0.9829, 0.0000, 0.8814], [0.9835, 0.0000, 0.6174], [0.5016, 0.7473, 0.3835], [0.0171, 0.5000, 0.3814], [0.9835, 0.0000, 0.3826], [0.0165, 0.5000, 0.8826], [0.0171, 0.5000, 0.6186], [0.5016, 0.2527, 0.3835], [0.0119, 0.5000, 0.5000], [0.5816, 0.6302, 0.1407], [0.3414, 0.7392, 0.8450], [0.0557, 0.8762, 0.1540], [0.6586, 0.7608, 0.6550], [0.4128, 0.6370, 0.3419], [0.9443, 0.3762, 0.6540], [0.0884, 0.6205, 0.1577], [0.9443, 0.3762, 0.3460], [0.4128, 0.3630, 0.3419], [0.0303, 0.5000, 0.0000], [0.5872, 0.8630, 0.1581], [0.6586, 0.7608, 0.3450], [0.8231, 0.0000, 0.1515], [0.1769, 0.5000, 0.3485], [0.3414, 0.2608, 0.8450], [0.5816, 0.3698, 0.8593], [0.9881, 0.0000, 0.0000], [0.8231, 0.0000, 0.8485], [0.9116, 0.8795, 0.6577], [0.3414, 0.7392, 0.1550], [0.9116, 0.8795, 0.3423], [0.1769, 0.5000, 0.6515], [0.4184, 0.1302, 0.6407], [0.1470, 0.0000, 0.3552], [0.9443, 0.6238, 0.3460], [0.4184, 0.1302, 0.3593], [0.5077, 0.2731, 0.5000], [0.4923, 0.7731, 0.0000], [0.0557, 0.1238, 0.8460], [0.5872, 0.8630, 0.8419], [0.9443, 0.6238, 0.6540], [0.8530, 0.5000, 0.8552], [0.9116, 0.1205, 0.6577], [0.8530, 0.5000, 0.1448], [0.5077, 0.7269, 0.5000], [0.0884, 0.6205, 0.8423], [0.4184, 0.8698, 0.6407], [0.6586, 0.2392, 0.3450], [0.4184, 0.8698, 0.3593], [0.5816, 0.6302, 0.8593], [0.1470, 0.0000, 0.6448], [0.0557, 0.8762, 0.8460], [0.0884, 0.3795, 0.1577], [0.4128, 0.3630, 0.6581], [0.0557, 0.1238, 0.1540], [0.9697, 0.0000, 0.5000], [0.6586, 0.2392, 0.6550], [0.5816, 0.3698, 0.1407], [0.5872, 0.1370, 0.1581], [0.0884, 0.3795, 0.8423], [0.5872, 0.1370, 0.8419], [0.4128, 0.6370, 0.6581], [0.4923, 0.2269, 0.0000], [0.3414, 0.2608, 0.1550], [0.9116, 0.1205, 0.3423], [0.1794, 0.7758, 0.7083], [0.8206, 0.7242, 0.7917], [0.8206, 0.2758, 0.7917], [0.8206, 0.2758, 0.2083], [0.8326, 0.2642, 0.5000], [0.6349, 0.0000, 0.2942], [0.1794, 0.7758, 0.2917], [0.3254, 0.0000, 0.5000], [0.3651, 0.5000, 0.7942], [0.6349, 0.0000, 0.7058], [0.8206, 0.7242, 0.2083], [0.1674, 0.7642, 0.0000], [0.6478, 0.0000, 0.0000], [0.8326, 0.7358, 0.5000], [0.1794, 0.2242, 0.7083], [0.1794, 0.2242, 0.2917], [0.6746, 0.5000, 0.0000], [0.1674, 0.2358, 0.0000], [0.3522, 0.5000, 0.5000], [0.3651, 0.5000, 0.2058], [0.6558, 0.0000, 0.5000], [0.3211, 0.0000, 0.0000], [0.8330, 0.2542, 0.0000], [0.3442, 0.5000, 0.0000], [0.1670, 0.2458, 0.5000], [0.8330, 0.7458, 0.0000], [0.6789, 0.5000, 0.5000], [0.1670, 0.7542, 0.5000]], "magmom_total_mub_per_cell": 0.01}

=====

Record order is preserved below.
ΔE_f: -65.8; -56.3; -57.9; -64.9; -82.0; -22.8; -36.8; -25.0; -96.9; -71.8 eV/f.u.
Record order is preserved below.
VASP energy: -5.04; -5.24; -5.80; -7.22; -7.19; -7.02; -6.48; -6.34; -7.16; -6.97 eV/atom
Record order is preserved below.
Density: 2.73; 4.12; 4.25; 6.58; 2.91; 6.20; 5.85; 3.88; 3.19; 4.23 g/cm3